1.
Density functional theory data (PBE-GGA) for a relaxed ErGaO3 crystal.

Lattice parameters (Å, degrees): 5.5749 7.6121 5.2698 90.00 90.00 90.00
Fractional coordinates of all 20 atoms:
Er: 0.0685 0.2500 0.0192
Er: 0.4315 0.7500 0.5192
Er: 0.5685 0.2500 0.4808
Er: 0.9315 0.7500 0.9808
Ga: 0.0000 0.0000 0.5000
Ga: 0.0000 0.5000 0.5000
Ga: 0.5000 0.0000 0.0000
Ga: 0.5000 0.5000 0.0000
O: 0.0412 0.7500 0.3853
O: 0.1946 0.5585 0.8070
O: 0.1946 0.9415 0.8070
O: 0.3054 0.0585 0.3070
O: 0.3054 0.4415 0.3070
O: 0.4588 0.2500 0.8853
O: 0.5412 0.7500 0.1147
O: 0.6946 0.5585 0.6930
O: 0.6946 0.9415 0.6930
O: 0.8054 0.0585 0.1930
O: 0.8054 0.4415 0.1930
O: 0.9588 0.2500 0.6147

Output
Mass density (Mg/m³): 8.464
Formation energy (eV per atom): -3.1476
Total magnetic moment (μB/atom): 0.000
Total energy (eV per cell): -144.5

***

2.
Density functional theory data (PBE-GGA) for a relaxed Er3GaO6 crystal.

Lattice parameters (Å, degrees): 7.0731 7.0731 5.3970 90.00 90.00 102.86
Fractional coordinates of all 20 atoms:
Er: 0.1014 0.8986 0.5000
Er: 0.2015 0.4117 0.5491
Er: 0.4117 0.2015 0.0491
Er: 0.5883 0.7985 0.5491
Er: 0.7985 0.5883 0.0491
Er: 0.8986 0.1014 0.0000
Ga: 0.3064 0.6936 0.0794
Ga: 0.6936 0.3064 0.5794
O: 0.0757 0.6060 0.2610
O: 0.1431 0.1778 0.2750
O: 0.1778 0.1431 0.7750
O: 0.2846 0.7154 0.7392
O: 0.3940 0.9243 0.2610
O: 0.4613 0.5387 0.2277
O: 0.5387 0.4613 0.7277
O: 0.6060 0.0758 0.7610
O: 0.7154 0.2846 0.2392
O: 0.8222 0.8569 0.2750
O: 0.8569 0.8222 0.7750
O: 0.9243 0.3940 0.7610

Output
Mass density (Mg/m³): 8.421
Formation energy (eV per atom): -3.6208
Total energy (eV per cell): -157.0

***

3.
Density functional theory data (PBE-GGA) for a relaxed Er3Ga5O12 crystal.

Lattice parameters (Å, degrees): 10.6969 10.6969 10.6969 109.47 109.47 109.47
Fractional coordinates of all 80 atoms:
Er: 0.1250 0.2500 0.3750
Er: 0.1250 0.3750 0.7500
Er: 0.2500 0.3750 0.1250
Er: 0.2500 0.8750 0.6250
Er: 0.3750 0.1250 0.2500
Er: 0.3750 0.7500 0.1250
Er: 0.6250 0.2500 0.8750
Er: 0.6250 0.8750 0.7500
Er: 0.7500 0.1250 0.3750
Er: 0.7500 0.6250 0.8750
Er: 0.8750 0.6250 0.2500
Er: 0.8750 0.7500 0.6250
Ga: 0.0000 0.0000 0.0000
Ga: 0.0000 0.0000 0.5000
Ga: 0.0000 0.5000 0.0000
Ga: 0.0000 0.5000 0.5000
Ga: 0.1250 0.7500 0.8750
Ga: 0.1250 0.8750 0.2500
Ga: 0.2500 0.1250 0.8750
Ga: 0.2500 0.6250 0.3750
Ga: 0.3750 0.2500 0.6250
Ga: 0.3750 0.6250 0.7500
Ga: 0.5000 0.0000 0.0000
Ga: 0.5000 0.0000 0.5000
Ga: 0.5000 0.5000 0.0000
Ga: 0.5000 0.5000 0.5000
Ga: 0.6250 0.3750 0.2500
Ga: 0.6250 0.7500 0.3750
Ga: 0.7500 0.3750 0.6250
Ga: 0.7500 0.8750 0.1250
Ga: 0.8750 0.1250 0.7500
Ga: 0.8750 0.2500 0.1250
O: 0.0302 0.2074 0.1244
O: 0.0302 0.3228 0.9058
O: 0.0829 0.7074 0.6772
O: 0.0829 0.8756 0.4058
O: 0.0942 0.6244 0.4171
O: 0.0942 0.9698 0.6772
O: 0.1244 0.0302 0.2074
O: 0.1244 0.5942 0.9171
O: 0.1772 0.2074 0.5829
O: 0.1772 0.4698 0.5942
O: 0.2074 0.1244 0.0302
O: 0.2074 0.5829 0.1772
O: 0.2926 0.3228 0.9171
O: 0.2926 0.4698 0.3756
O: 0.3228 0.9058 0.0302
O: 0.3228 0.9171 0.2926
O: 0.3756 0.2926 0.4698
O: 0.3756 0.5829 0.9058
O: 0.4058 0.0829 0.8756
O: 0.4058 0.8228 0.5302
O: 0.4171 0.0942 0.6244
O: 0.4171 0.8228 0.7926
O: 0.4698 0.3756 0.2926
O: 0.4698 0.5942 0.1772
O: 0.5302 0.4058 0.8228
O: 0.5302 0.6244 0.7074
O: 0.5829 0.1772 0.2074
O: 0.5829 0.9058 0.3756
O: 0.5942 0.1772 0.4698
O: 0.5942 0.9171 0.1244
O: 0.6244 0.4171 0.0942
O: 0.6244 0.7074 0.5302
O: 0.6772 0.0829 0.7074
O: 0.6772 0.0942 0.9698
O: 0.7074 0.5302 0.6244
O: 0.7074 0.6772 0.0829
O: 0.7926 0.4171 0.8228
O: 0.7926 0.8756 0.9698
O: 0.8228 0.5302 0.4058
O: 0.8228 0.7926 0.4171
O: 0.8756 0.4058 0.0829
O: 0.8756 0.9698 0.7926
O: 0.9058 0.0302 0.3228
O: 0.9058 0.3756 0.5829
O: 0.9171 0.1244 0.5942
O: 0.9171 0.2926 0.3228
O: 0.9698 0.6772 0.0942
O: 0.9698 0.7926 0.8756

Output
Mass density (Mg/m³): 7.348
Formation energy (eV per atom): -2.9836
Total energy (eV per cell): -558.6

***

4.
Density functional theory data (PBE-GGA) for a relaxed Er4Ga12Pd crystal.

Lattice parameters (Å, degrees): 7.4657 7.4657 7.4657 109.47 109.47 109.47
Fractional coordinates of all 17 atoms:
Er: 0.0000 0.0000 0.5000
Er: 0.0000 0.5000 0.0000
Er: 0.5000 0.0000 0.0000
Er: 0.5000 0.5000 0.5000
Ga: 0.0000 0.2965 0.2965
Ga: 0.0000 0.7035 0.7035
Ga: 0.2500 0.5000 0.7500
Ga: 0.2500 0.7500 0.5000
Ga: 0.2965 0.0000 0.2965
Ga: 0.2965 0.2965 0.0000
Ga: 0.5000 0.2500 0.7500
Ga: 0.5000 0.7500 0.2500
Ga: 0.7035 0.0000 0.7035
Ga: 0.7035 0.7035 0.0000
Ga: 0.7500 0.2500 0.5000
Ga: 0.7500 0.5000 0.2500
Pd: 0.0000 0.0000 0.0000

Output
Mass density (Mg/m³): 8.357
Formation energy (eV per atom): -0.5917
Total energy (eV per cell): -69.8

***

5.
Density functional theory data (PBE-GGA) for a relaxed Er6Ga17Pd5 crystal.

Lattice parameters (Å, degrees): 8.1459 8.1459 15.6452 103.81 103.81 30.44
Fractional coordinates of all 28 atoms:
Er: 0.0963 0.0963 0.4037
Er: 0.2506 0.2506 0.2513
Er: 0.3996 0.3996 0.0999
Er: 0.6004 0.6004 0.9001
Er: 0.7494 0.7494 0.7487
Er: 0.9037 0.9037 0.5963
Ga: 0.0000 0.0000 0.0000
Ga: 0.0404 0.0404 0.1782
Ga: 0.1062 0.1062 0.7637
Ga: 0.1785 0.1785 0.0403
Ga: 0.2394 0.2394 0.8942
Ga: 0.2644 0.2644 0.6044
Ga: 0.3269 0.3269 0.4582
Ga: 0.3955 0.3955 0.7383
Ga: 0.4577 0.4577 0.3267
Ga: 0.5423 0.5423 0.6733
Ga: 0.6045 0.6045 0.2617
Ga: 0.6731 0.6731 0.5419
Ga: 0.7356 0.7356 0.3956
Ga: 0.7606 0.7606 0.1058
Ga: 0.8215 0.8215 0.9597
Ga: 0.8938 0.8938 0.2363
Ga: 0.9596 0.9596 0.8218
Pd: 0.1004 0.1004 0.6004
Pd: 0.4097 0.4097 0.9093
Pd: 0.5000 0.5000 0.5000
Pd: 0.5903 0.5903 0.0907
Pd: 0.8996 0.8996 0.3996

Output
Mass density (Mg/m³): 8.867
Formation energy (eV per atom): -0.6736
Total magnetic moment (μB/atom): 0.002
Total energy (eV per cell): -123.6

***

6.
Density functional theory data (PBE-GGA) for a relaxed ErGa2Pd crystal.

Lattice parameters (Å, degrees): 4.4246 10.1355 6.6115 90.00 90.00 90.00
Fractional coordinates of all 16 atoms:
Er: 0.0000 0.0876 0.2500
Er: 0.0000 0.9124 0.7500
Er: 0.5000 0.4124 0.7500
Er: 0.5000 0.5876 0.2500
Ga: 0.0000 0.3721 0.0530
Ga: 0.0000 0.3721 0.4470
Ga: 0.0000 0.6279 0.5530
Ga: 0.0000 0.6279 0.9470
Ga: 0.5000 0.1279 0.5530
Ga: 0.5000 0.1279 0.9470
Ga: 0.5000 0.8721 0.0530
Ga: 0.5000 0.8721 0.4470
Pd: 0.0000 0.2002 0.7500
Pd: 0.0000 0.7998 0.2500
Pd: 0.5000 0.2998 0.2500
Pd: 0.5000 0.7002 0.7500

Output
Mass density (Mg/m³): 9.255
Formation energy (eV per atom): -0.7992
Total energy (eV per cell): -76.0

***

7.
Density functional theory data (PBE-GGA) for a relaxed Er4Ga12Pt crystal.

Lattice parameters (Å, degrees): 7.4587 7.4587 7.4587 109.47 109.47 109.47
Fractional coordinates of all 17 atoms:
Er: 0.0000 0.0000 0.5000
Er: 0.0000 0.5000 0.0000
Er: 0.5000 0.0000 0.0000
Er: 0.5000 0.5000 0.5000
Ga: 0.0000 0.2967 0.2967
Ga: 0.0000 0.7033 0.7033
Ga: 0.2500 0.5000 0.7500
Ga: 0.2500 0.7500 0.5000
Ga: 0.2967 0.0000 0.2967
Ga: 0.2967 0.2967 0.0000
Ga: 0.5000 0.2500 0.7500
Ga: 0.5000 0.7500 0.2500
Ga: 0.7033 0.0000 0.7033
Ga: 0.7033 0.7033 0.0000
Ga: 0.7500 0.2500 0.5000
Ga: 0.7500 0.5000 0.2500
Pt: 0.0000 0.0000 0.0000

Output
Mass density (Mg/m³): 8.842
Formation energy (eV per atom): -0.6103
Total energy (eV per cell): -71.1

***

8.
Density functional theory data (PBE-GGA) for a relaxed Er3Ga8Rh3 crystal.

Lattice parameters (Å, degrees): 8.1282 8.1282 8.1282 150.10 105.22 82.56
Fractional coordinates of all 14 atoms:
Er: 0.0000 0.0000 0.0000
Er: 0.3280 0.3280 0.0000
Er: 0.6720 0.6720 0.0000
Ga: 0.0374 0.6654 0.3720
Ga: 0.1601 0.8752 0.2849
Ga: 0.2934 0.6654 0.6280
Ga: 0.4096 0.1248 0.2849
Ga: 0.5904 0.8752 0.7151
Ga: 0.7066 0.3346 0.3720
Ga: 0.8399 0.1248 0.7151
Ga: 0.9626 0.3346 0.6280
Rh: 0.2863 0.5000 0.7863
Rh: 0.5000 0.0000 0.5000
Rh: 0.7137 0.5000 0.2137

Output
Mass density (Mg/m³): 8.986
Formation energy (eV per atom): -0.6976
Total magnetic moment (μB/atom): 0.000
Total energy (eV per cell): -69.8

***

9.
Density functional theory data (PBE-GGA) for a relaxed ErGa3Ru crystal.

Lattice parameters (Å, degrees): 6.4051 6.4051 6.4051 90.00 90.00 90.00
Fractional coordinates of all 15 atoms:
Er: 0.0000 0.0000 0.5000
Er: 0.0000 0.5000 0.0000
Er: 0.5000 0.0000 0.0000
Ga: 0.0000 0.0000 0.0000
Ga: 0.2886 0.2886 0.2886
Ga: 0.2886 0.2886 0.7114
Ga: 0.2886 0.7114 0.2886
Ga: 0.2886 0.7114 0.7114
Ga: 0.7114 0.2886 0.2886
Ga: 0.7114 0.2886 0.7114
Ga: 0.7114 0.7114 0.2886
Ga: 0.7114 0.7114 0.7114
Ru: 0.0000 0.5000 0.5000
Ru: 0.5000 0.0000 0.5000
Ru: 0.5000 0.5000 0.0000

Output
Mass density (Mg/m³): 9.052
Formation energy (eV per atom): -0.5840
Total energy (eV per cell): -77.5

***

10.
Density functional theory data (PBE-GGA) for a relaxed Er3Ga15Ru4 crystal.

Lattice parameters (Å, degrees): 8.7925 9.6354 17.8185 90.00 90.00 90.00
Fractional coordinates of all 88 atoms:
Er: 0.1241 0.2500 0.1678
Er: 0.1247 0.2500 0.7483
Er: 0.1256 0.7500 0.0242
Er: 0.3744 0.2500 0.5242
Er: 0.3753 0.7500 0.2483
Er: 0.3759 0.7500 0.6678
Er: 0.6241 0.2500 0.3322
Er: 0.6247 0.2500 0.7517
Er: 0.6256 0.7500 0.4758
Er: 0.8744 0.2500 0.9758
Er: 0.8753 0.7500 0.2517
Er: 0.8759 0.7500 0.8322
Ga: 0.0074 0.7500 0.6688
Ga: 0.0492 0.2500 0.5776
Ga: 0.1227 0.0615 0.4654
Ga: 0.1227 0.4385 0.4654
Ga: 0.1241 0.5874 0.1719
Ga: 0.1241 0.9126 0.1719
Ga: 0.1260 0.0692 0.0329
Ga: 0.1260 0.4308 0.0329
Ga: 0.1256 0.5776 0.3314
Ga: 0.1256 0.9224 0.3314
Ga: 0.1266 0.5608 0.7528
Ga: 0.1266 0.9392 0.7528
Ga: 0.1332 0.7500 0.5418
Ga: 0.1954 0.2500 0.9181
Ga: 0.2209 0.7500 0.8593
Ga: 0.2791 0.2500 0.3593
Ga: 0.3046 0.7500 0.4181
Ga: 0.3668 0.2500 0.0418
Ga: 0.3734 0.0608 0.2528
Ga: 0.3734 0.4392 0.2528
Ga: 0.3744 0.0776 0.8314
Ga: 0.3744 0.4224 0.8314
Ga: 0.3740 0.5692 0.5329
Ga: 0.3740 0.9308 0.5329
Ga: 0.3759 0.0874 0.6719
Ga: 0.3759 0.4126 0.6719
Ga: 0.3773 0.5615 0.9654
Ga: 0.3773 0.9385 0.9654
Ga: 0.4508 0.7500 0.0776
Ga: 0.4926 0.2500 0.1688
Ga: 0.5074 0.7500 0.8312
Ga: 0.5492 0.2500 0.9224
Ga: 0.6227 0.0615 0.0346
Ga: 0.6227 0.4385 0.0346
Ga: 0.6241 0.5874 0.3281
Ga: 0.6241 0.9126 0.3281
Ga: 0.6260 0.0692 0.4671
Ga: 0.6260 0.4308 0.4671
Ga: 0.6256 0.5776 0.1686
Ga: 0.6256 0.9224 0.1686
Ga: 0.6266 0.5608 0.7472
Ga: 0.6266 0.9392 0.7472
Ga: 0.6332 0.7500 0.9582
Ga: 0.6954 0.2500 0.5819
Ga: 0.7209 0.7500 0.6407
Ga: 0.7791 0.2500 0.1407
Ga: 0.8046 0.7500 0.0819
Ga: 0.8668 0.2500 0.4582
Ga: 0.8734 0.0608 0.2472
Ga: 0.8734 0.4392 0.2472
Ga: 0.8744 0.0776 0.6686
Ga: 0.8744 0.4224 0.6686
Ga: 0.8740 0.5692 0.9671
Ga: 0.8740 0.9308 0.9671
Ga: 0.8759 0.0874 0.8281
Ga: 0.8759 0.4126 0.8281
Ga: 0.8773 0.5615 0.5346
Ga: 0.8773 0.9385 0.5346
Ga: 0.9508 0.7500 0.4224
Ga: 0.9926 0.2500 0.3312
Ru: 0.1174 0.5038 0.8903
Ru: 0.1174 0.9962 0.8903
Ru: 0.1303 0.5048 0.6135
Ru: 0.1303 0.9952 0.6135
Ru: 0.3697 0.0048 0.1135
Ru: 0.3697 0.4952 0.1135
Ru: 0.3826 0.0038 0.3903
Ru: 0.3826 0.4962 0.3903
Ru: 0.6174 0.5038 0.6097
Ru: 0.6174 0.9962 0.6097
Ru: 0.6303 0.5048 0.8865
Ru: 0.6303 0.9952 0.8865
Ru: 0.8697 0.0048 0.3865
Ru: 0.8697 0.4952 0.3865
Ru: 0.8826 0.0038 0.1097
Ru: 0.8826 0.4962 0.1097

Output
Mass density (Mg/m³): 8.588
Formation energy (eV per atom): -0.5097
Total magnetic moment (μB/atom): 0.001
Total energy (eV per cell): -429.7

***

11.
Density functional theory data (PBE-GGA) for a relaxed Er3GaS6 crystal.

Lattice parameters (Å, degrees): 8.4780 8.4780 6.4289 90.00 90.00 102.43
Fractional coordinates of all 20 atoms:
Er: 0.0974 0.9026 0.5000
Er: 0.2157 0.4143 0.4100
Er: 0.4143 0.2157 0.9100
Er: 0.5857 0.7843 0.4100
Er: 0.7843 0.5857 0.9100
Er: 0.9026 0.0974 0.0000
Ga: 0.2989 0.7011 0.8745
Ga: 0.7011 0.2989 0.3745
S: 0.0658 0.6017 0.6921
S: 0.1322 0.1931 0.7062
S: 0.1931 0.1322 0.2062
S: 0.2826 0.7174 0.2280
S: 0.3983 0.9342 0.6921
S: 0.4604 0.5396 0.7269
S: 0.5396 0.4604 0.2269
S: 0.6017 0.0658 0.1921
S: 0.7174 0.2826 0.7280
S: 0.8069 0.8678 0.7062
S: 0.8678 0.8069 0.2062
S: 0.9342 0.3983 0.1921

Output
Mass density (Mg/m³): 5.622
Formation energy (eV per atom): -2.0216
Largest piezoelectric modulus (C/m²): 0.32
Total energy (eV per cell): -117.5

***

12.
Density functional theory data (PBE-GGA) for a relaxed ErTi2Ga4 crystal.

Lattice parameters (Å, degrees): 6.7433 6.7433 5.4552 90.00 90.00 90.00
Fractional coordinates of all 14 atoms:
Er: 0.0000 0.0000 0.0000
Er: 0.5000 0.5000 0.5000
Ti: 0.0000 0.5000 0.2500
Ti: 0.0000 0.5000 0.7500
Ti: 0.5000 0.0000 0.2500
Ti: 0.5000 0.0000 0.7500
Ga: 0.1988 0.1988 0.5000
Ga: 0.1988 0.8012 0.5000
Ga: 0.3012 0.3012 0.0000
Ga: 0.3012 0.6988 0.0000
Ga: 0.6988 0.3012 0.0000
Ga: 0.6988 0.6988 0.0000
Ga: 0.8012 0.1988 0.5000
Ga: 0.8012 0.8012 0.5000

Output
Mass density (Mg/m³): 7.255
Formation energy (eV per atom): -0.5317
Total energy (eV per cell): -72.4

***

13.
Density functional theory data (PBE-GGA) for a relaxed Er2ZnGa crystal.

Lattice parameters (Å, degrees): 7.0760 7.0760 7.0760 90.00 90.00 90.00
Fractional coordinates of all 16 atoms:
Er: 0.2500 0.2500 0.2500
Er: 0.2500 0.2500 0.7500
Er: 0.2500 0.7500 0.2500
Er: 0.2500 0.7500 0.7500
Er: 0.7500 0.2500 0.2500
Er: 0.7500 0.2500 0.7500
Er: 0.7500 0.7500 0.2500
Er: 0.7500 0.7500 0.7500
Zn: 0.0000 0.0000 0.0000
Zn: 0.0000 0.5000 0.5000
Zn: 0.5000 0.0000 0.5000
Zn: 0.5000 0.5000 0.0000
Ga: 0.0000 0.0000 0.5000
Ga: 0.0000 0.5000 0.0000
Ga: 0.5000 0.0000 0.0000
Ga: 0.5000 0.5000 0.5000

Output
Mass density (Mg/m³): 8.805
Formation energy (eV per atom): -0.4863
Total energy (eV per cell): -61.5